(1)
80
Lattice="-11.369 -11.555 -0.834 5.548 -5.799 4.716 0.770 6.360 6.915" Properties=species:S:1:pos:R:3 comment="PBE Na3Y2P3O12, relaxed" volume_a3_per_atom=14.6 formation_energy_mev_per_atom=-3093 pbc="T T T"
O -7.011 -10.723 3.073
P -1.824 -8.026 8.905
O -0.943 -7.052 4.403
Na -1.124 -0.951 4.297
O 1.090 -5.016 4.602
O 0.757 -2.730 3.606
O -7.384 -8.058 5.125
P -2.611 -3.588 6.805
Y 3.473 -2.101 7.328
O 1.811 1.110 5.677
Na -0.521 -9.472 5.514
O -7.368 -7.894 1.827
O -6.430 -5.767 2.973
Na 3.876 1.233 7.968
O 1.075 -5.180 7.900
O 2.120 -3.087 8.876
O -1.535 -4.487 6.151
O -6.338 -5.965 6.101
O -9.994 -7.365 3.377
O -0.256 -0.027 6.588
Na -4.582 -1.645 5.193
O -6.054 -13.030 3.125
Na 2.390 -0.795 3.573
O -4.023 -3.358 3.316
O -3.426 -6.482 4.477
Na 2.307 -0.954 10.343
O 1.947 -0.392 7.748
P -6.703 -6.508 1.628
Na -6.152 -3.832 7.568
Na -0.988 -4.832 3.146
O 1.448 -7.845 5.847
O -9.402 -9.930 1.629
O -3.166 -8.704 8.529
O -6.934 -12.035 5.257
Na -8.300 -5.326 4.476
O -1.875 -2.493 2.349
Na -3.898 -13.509 5.087
O 0.334 4.889 6.389
P -6.938 -7.355 6.430
Y -5.326 -8.729 9.316
O -3.005 0.392 5.193
O -2.667 -8.878 4.329
Na -4.035 -9.628 6.238
O 0.244 -0.202 2.388
P 1.086 0.651 6.965
P 1.755 -3.630 4.403
O -8.187 -7.143 7.322
O -3.143 -4.353 1.184
O -2.153 -11.407 5.546
P -3.280 -3.041 1.994
Y 0.183 -2.244 1.401
O -5.375 -6.680 0.853
O -2.236 -2.118 6.434
Na 0.158 -2.448 7.250
O -1.100 -7.567 7.618
O -2.577 -3.788 8.330
Y -2.415 -0.052 7.376
O -2.007 -6.808 9.863
Y -8.487 -9.006 3.499
P -2.366 -7.425 3.882
O 0.271 -4.265 10.097
P -5.521 -12.264 8.746
O -2.328 -7.240 2.346
O -4.047 -3.854 6.287
P -10.825 -10.303 1.107
Y -4.986 -4.979 4.554
O 5.032 -3.604 7.252
O 3.083 -3.803 3.628
P 1.521 -4.477 9.205
O 4.411 -0.976 9.061
Y -2.728 -10.921 3.342
O -6.511 -3.269 4.973
O -5.147 -10.795 8.375
Y -0.029 -6.129 6.273
O -5.239 -15.917 4.287
O -5.916 -8.285 7.134
O -4.786 -11.169 4.290
O 0.904 1.869 7.922
P -6.191 -11.718 3.935
O 2.029 -2.889 5.748

(2)
111
Lattice="-4.480 4.783 -6.240 -4.195 -6.571 4.602 -6.310 15.505 16.468" Properties=species:S:1:pos:R:3 comment="PBE Na3YZr3P6O24, relaxed" spacegroup="P1, No. 1" volume_a3_per_atom=15.0 formation_energy_mev_per_atom=-3136 pbc="T T T"
P -11.305 9.526 17.427
P -2.821 1.982 5.484
O -6.045 9.408 6.564
O -8.434 7.957 14.655
O -8.454 13.886 8.713
O -10.425 11.610 13.919
O -6.158 1.160 10.467
P -7.473 1.736 -1.765
O -8.741 12.737 17.123
Zr -4.409 -2.491 1.291
O -8.782 4.921 11.223
O -10.827 7.790 8.246
O -4.089 -0.423 1.273
O -8.823 3.414 3.555
O -10.717 9.380 15.986
Zr -10.581 16.218 13.548
O -7.051 2.914 -0.916
Zr -5.412 13.252 14.077
Na -4.715 3.227 3.478
O -12.823 11.858 10.820
Zr -7.588 5.277 9.545
P -5.493 10.562 7.459
O -6.335 5.668 7.931
O -10.355 3.785 6.356
O -8.157 11.733 10.840
O -8.228 1.454 2.067
Zr -7.407 8.447 5.366
O -5.532 2.093 8.133
P -9.451 3.154 7.422
O -11.190 16.102 11.475
O -5.948 4.138 5.945
O -7.982 5.522 15.098
O -6.113 -2.496 6.603
O -4.372 1.704 5.317
O -6.429 6.577 5.548
O -6.062 10.314 11.319
O -6.335 -2.078 1.961
P -3.587 0.876 0.586
O -10.612 8.514 18.378
O -11.415 13.028 15.777
Na -6.476 6.126 2.816
O -8.633 7.472 3.864
O -4.248 5.894 6.682
O -10.648 8.855 12.963
O -6.714 12.228 12.825
P -7.249 11.110 11.916
Y -5.565 3.862 0.325
P -5.740 5.575 6.513
O -3.941 2.758 -3.132
O -2.258 1.893 4.027
O -7.137 8.171 -0.174
O -6.525 3.546 9.929
P -7.548 11.950 16.581
Na -8.459 7.498 11.996
P -9.311 8.116 8.349
O -12.024 8.262 10.990
O -8.151 10.110 12.726
O -2.132 1.168 1.056
O -6.619 11.409 8.013
O -12.801 12.509 13.761
O -6.149 8.723 3.628
O -8.258 2.357 6.824
O -6.684 5.776 0.215
O -8.623 15.786 12.756
O -3.830 -2.480 3.298
P -11.363 12.817 14.261
O -4.364 5.199 -3.617
O -4.659 9.906 8.594
P -7.757 6.959 15.635
P -7.067 -1.303 6.886
Zr -9.578 0.489 0.777
O -6.313 6.349 10.812
O -6.670 12.914 15.740
O -4.521 2.005 1.006
O -8.910 4.267 8.321
O -11.037 10.942 17.936
O -3.564 0.675 -0.961
Zr -4.100 10.015 10.641
O -9.504 11.681 6.604
O -8.070 10.793 15.669
O -8.709 8.022 6.909
P -12.118 8.500 12.527
O -6.741 3.560 2.238
O -6.834 1.940 4.121
Na -5.358 -0.275 3.741
P -7.693 2.598 2.967
O -6.240 0.958 -2.316
O -2.990 5.523 3.782
O -8.420 10.231 4.799
O -8.338 0.738 -0.939
P -9.374 11.432 5.114
O -4.303 4.965 1.827
O -10.822 14.070 13.531
P -5.622 2.333 9.676
O -8.827 16.288 8.189
Na -8.683 -1.766 -1.614
Y -8.682 11.667 8.611
Na -8.224 9.113 2.177
O -6.497 -0.049 6.144
Na -9.620 13.981 11.076
Na -7.322 1.232 12.803
Na -10.234 10.501 11.290
Y -10.852 3.734 4.139
Zr -9.414 9.829 14.462
O -8.630 7.070 9.262
Zr -6.312 2.031 6.176
O -8.815 12.686 4.378
O -9.085 9.491 8.971
P -3.666 4.210 -2.637
O -10.735 12.045 9.545
O -4.150 4.413 -1.217

(3)
114
Lattice="9.149 -0.041 -0.017 -4.610 7.903 0.017 -0.044 0.025 23.520" Properties=species:S:1:pos:R:3 comment="PBE Na2YZrP3O12, relaxed" volume_a3_per_atom=14.9 formation_energy_mev_per_atom=-3113 pbc="T T T"
Na -0.027 5.244 3.893
P 7.218 2.564 13.652
O 3.533 4.225 15.100
O 7.384 0.052 9.657
O -3.675 6.383 9.741
O 5.615 3.809 9.905
O -0.668 1.568 4.753
Na 4.521 7.860 11.727
O 6.310 2.782 14.861
O 5.482 1.095 17.558
O 3.607 4.084 5.748
O 2.669 2.677 3.340
O 5.254 6.265 18.787
O -1.723 5.053 8.678
Zr -0.057 5.352 7.433
O 5.295 4.268 0.699
O 7.495 0.201 2.064
O 0.694 6.924 8.550
Zr 4.445 7.837 3.508
O 1.535 0.207 13.799
O 2.878 2.397 0.827
O -0.994 6.740 13.599
P 5.949 0.316 1.892
O 0.557 3.827 17.724
O 1.014 6.465 17.757
Zr -0.146 5.247 19.193
O 5.149 6.417 2.039
O -2.830 7.682 4.550
O -1.133 3.811 20.310
O -1.773 5.340 1.840
Na 4.563 2.619 7.801
P -1.292 2.366 5.969
O 3.490 3.939 21.674
O 0.697 1.580 9.640
O 0.925 3.726 1.890
O 1.709 5.438 22.712
Y 0.073 5.300 12.202
O 2.825 7.669 16.513
O 4.017 6.354 13.831
O -1.050 3.865 13.566
O 2.894 2.857 9.915
P -1.504 2.942 21.562
Zr -0.048 0.106 15.267
P -1.940 7.851 5.835
O -1.932 5.333 11.191
Na 4.530 2.613 19.561
Na 7.523 2.374 9.765
P 1.270 2.435 17.637
Na -0.038 5.275 15.652
O 5.651 1.172 0.608
P 3.088 5.532 5.877
O -0.928 3.561 22.821
O 3.673 0.905 14.969
O 6.082 2.822 21.633
O 1.762 0.166 7.027
O 3.551 1.209 5.715
O -2.848 7.866 21.500
O 1.753 5.210 13.649
O 1.022 1.626 18.895
O 7.226 0.046 19.009
O 3.498 6.481 21.400
Y 0.082 0.053 20.036
Zr 4.500 2.721 23.102
O 1.050 3.828 8.459
Na -2.935 5.459 13.707
O -0.720 6.840 20.438
Zr 4.454 2.591 11.342
O 1.013 6.872 11.061
P 1.822 7.811 17.728
P 5.862 5.025 1.951
O 4.026 1.108 21.665
O -3.551 6.484 16.310
Na 6.223 0.172 21.524
P -1.345 7.637 21.654
P -2.726 5.195 9.894
Na -0.029 0.029 23.487
Y 0.008 5.136 0.442
O 5.614 4.216 3.210
O 1.727 5.051 20.219
O -0.531 3.738 5.997
O 3.880 4.183 12.587
O 6.353 2.553 5.798
P 2.617 5.220 21.503
O 1.526 5.453 5.965
O 8.134 1.568 7.249
O 5.158 1.170 9.873
O 0.688 6.826 1.806
P 1.875 2.539 2.043
O 3.459 6.401 4.625
P 1.349 2.973 9.744
P -3.252 5.629 17.595
O 8.091 1.283 13.823
O 2.784 2.709 17.508
O -1.068 6.881 22.951
Na 1.666 2.803 5.856
O 5.245 4.195 17.475
O 0.706 3.650 10.952
Y 4.674 2.643 4.350
O 3.664 6.151 7.135
O 5.307 0.994 3.101
Na 2.922 5.030 17.616
P 3.256 4.981 13.803
O 6.328 2.395 12.368
O 0.703 1.678 16.384
O 1.067 1.194 2.071
Na -1.635 7.661 1.947
O 8.164 1.453 21.417
O 3.468 1.155 12.459
Y 4.565 2.505 16.110
P 3.097 0.285 13.711
O -1.067 6.570 6.006
Y 4.556 7.752 8.276
P 1.261 7.681 9.803
O -1.706 5.513 17.766

(4)
108
Lattice="-5.626 5.539 -3.493 -5.743 -8.092 -3.581 -8.870 -0.016 14.262" Properties=species:S:1:pos:R:3 comment="PBE Na2Zn5P4O16, relaxed" spacegroup="Pbcn, No. 60" volume_a3_per_atom=14.2 formation_energy_mev_per_atom=-2435 pbc="T T T"
P -5.894 -2.992 3.592
O -3.889 -3.352 -0.198
O -6.311 0.888 -3.292
Zn -13.564 0.621 9.777
O -8.981 -6.045 0.727
O -16.350 0.783 7.386
O -10.305 -1.177 -0.091
P -10.981 4.286 5.166
O -14.898 -2.340 8.412
P -4.895 -4.507 -0.421
O -4.198 -0.082 5.257
O -7.690 0.772 -1.212
Na -15.174 -1.185 6.295
P -1.985 -0.196 0.867
O -7.871 2.942 1.912
O -10.233 -2.643 12.251
Zn -12.368 -1.959 3.761
O -10.737 0.170 -2.660
P -18.254 -2.373 6.321
O -10.106 2.229 -0.411
Zn -6.676 -3.189 -2.589
Na -6.921 2.734 -0.257
O -6.428 -1.757 2.804
O -6.660 -1.059 7.844
P -10.019 -1.092 5.758
O -9.828 -2.957 1.676
Zn -9.617 0.408 -1.036
O -13.534 4.735 9.345
O -10.445 -3.030 -3.414
Zn -7.282 -2.284 6.420
Zn -16.449 -3.567 8.482
O -13.579 -1.510 -0.656
O -6.894 -4.152 3.373
Zn -9.714 -0.689 12.170
P -9.501 -4.264 -3.286
O -8.226 2.064 7.000
O -3.387 0.102 1.463
O -12.173 1.357 11.049
O -9.503 -2.739 9.848
O -12.978 -1.215 9.683
O -15.844 -5.237 7.694
Zn -7.871 -0.610 3.427
Na -7.787 -4.082 0.997
Zn -3.933 1.685 2.501
O -6.262 -3.870 -0.814
O -9.268 -0.493 2.103
Na -11.558 -2.662 -1.346
O -13.928 -3.457 10.479
O -10.907 2.016 8.980
O -9.935 -1.392 7.278
O -6.705 -7.304 -2.157
P -15.345 1.938 7.609
O -9.333 -4.584 -1.792
O -10.133 -4.798 7.599
O -13.346 1.583 3.815
Zn -10.622 -2.977 8.224
O -13.023 -6.432 9.573
O -8.533 -1.298 5.213
O -12.014 -4.633 0.188
O -13.977 1.301 8.002
O -10.237 -5.934 2.883
O -16.041 -2.487 1.931
O -5.884 1.445 2.214
P -6.913 2.305 2.964
Na -13.318 -5.303 7.445
P -13.326 -4.873 4.224
O -16.852 -2.671 5.724
O -13.812 -0.812 4.383
Zn -7.583 2.387 -3.652
O -7.216 3.863 -2.386
O -10.411 0.388 5.512
O -14.355 -4.014 4.974
Na -12.452 1.514 6.191
O -5.341 -0.229 -1.224
P -6.650 -0.035 -2.034
O -12.550 -3.341 8.400
O -10.002 3.365 4.305
Zn -11.124 -4.435 1.904
O -11.258 3.477 6.461
O -12.523 -3.913 3.256
O -11.403 2.883 1.641
O -9.795 0.461 10.602
O -8.837 -5.452 5.547
Zn -10.592 -6.189 4.861
Zn -9.115 1.866 5.284
O -2.154 0.013 -0.707
O -18.085 -2.582 7.895
O -11.706 -1.270 1.975
Zn -10.525 -1.880 -4.982
P -14.345 0.423 3.596
Zn -10.563 3.838 8.268
O -10.971 -2.076 5.085
Zn -12.656 -4.956 10.839
O -7.261 -1.354 -2.496
P -10.738 1.695 10.473
Na -5.066 -1.384 0.892
O -10.006 0.074 -5.064
O -8.066 -3.926 -3.862
Zn -3.790 0.998 -1.294
Zn -9.647 3.620 2.327
Na -8.682 0.093 8.534
O -4.395 2.668 -0.506
P -13.589 -2.534 9.222
Zn -12.958 -0.285 0.768
P -10.220 -1.477 1.430
P -9.258 -6.855 2.022
O -12.368 -5.511 5.276
O -7.716 1.344 3.932

The calculation returns the following VASP energy values, one per record and in order: -7.307 -7.753 -7.588 -6.093 eV/atom.